No. 1
Below is Li8Mn7FeB8O24 after structural relaxation, with properties calculated at the PBE with a Hubbard U level.

Cell: 5.2628 9.1165 11.6248 Å, 68.43 77.77 89.79°
Closest atoms and distances in Å follow each position.
Space group P1 (No. 1)
Unique sites:
Li  0.0000  0.0000  0.0000 (multiplicity 1)  4 O 1.96-2.08
Li  0.0234  0.0398  0.2504 (multiplicity 1)  4 O 1.92-2.05
Li  0.2657  0.2436  0.4999 (multiplicity 1)  4 O 1.96-2.08
Li  0.3138  0.2767  0.7494 (multiplicity 1)  4 O 1.94-2.05
Li  0.5001  0.4999  0.9992 (multiplicity 1)  4 O 1.96-2.08
Li  0.5228  0.5398  0.2501 (multiplicity 1)  4 O 1.92-2.05
Li  0.7641  0.7454  0.4988 (multiplicity 1)  4 O 1.96-2.10
Li  0.8144  0.7754  0.7509 (multiplicity 1)  4 O 1.93-2.04
Mn  0.0247  0.3471  0.9640 (multiplicity 1)  5 O 2.09-2.33
Mn  0.0506  0.7192  0.2153 (multiplicity 1)  5 O 2.09-2.29
Mn  0.2715  0.9258  0.4683 (multiplicity 1)  5 O 2.09-2.34
Mn  0.5225  0.8440  0.9657 (multiplicity 1)  5 O 2.09-2.31
Mn  0.5506  0.2190  0.2153 (multiplicity 1)  5 O 2.10-2.30
Mn  0.7719  0.4278  0.4651 (multiplicity 1)  5 O 2.09-2.30
Mn  0.8199  0.1286  0.7155 (multiplicity 1)  5 O 2.09-2.29
Fe  0.3239  0.6270  0.7148 (multiplicity 1)  3 O 2.02-2.11
B  0.0304  0.6801  0.9566 (multiplicity 1)  3 O 1.38-1.40
B  0.0590  0.3924  0.2077 (multiplicity 1)  3 O 1.39-1.40
B  0.2705  0.5975  0.4589 (multiplicity 1)  3 O 1.38-1.41
B  0.3251  0.9677  0.7088 (multiplicity 1)  3 O 1.39-1.40
B  0.5301  0.1800  0.9571 (multiplicity 1)  3 O 1.39-1.40
B  0.5587  0.8923  0.2079 (multiplicity 1)  3 O 1.39-1.40
B  0.7712  0.0983  0.4580 (multiplicity 1)  3 O 1.38-1.41
B  0.8219  0.4729  0.7070 (multiplicity 1)  3 O 1.38-1.40
O  0.0257  0.6291  0.4287 (multiplicity 1)  1 B 1.41
O  0.0577  0.4429  0.7455 (multiplicity 1)  1 B 1.40
O  0.1194  0.7902  0.9997 (multiplicity 1)  1 B 1.40
O  0.1962  0.8554  0.6805 (multiplicity 1)  1 B 1.40
O  0.1995  0.5741  0.9257 (multiplicity 1)  1 B 1.40
O  0.2233  0.1128  0.6930 (multiplicity 1)  1 B 1.39
O  0.2760  0.1764  0.9421 (multiplicity 1)  1 B 1.39
O  0.3264  0.4142  0.1926 (multiplicity 1)  1 B 1.39
O  0.3903  0.9904  0.2491 (multiplicity 1)  1 B 1.39
O  0.3908  0.4690  0.4432 (multiplicity 1)  1 B 1.38
O  0.3912  0.6975  0.5011 (multiplicity 1)  1 B 1.39
O  0.4581  0.7719  0.1780 (multiplicity 1)  1 B 1.40
O  0.5266  0.1290  0.4277 (multiplicity 1)  1 B 1.41
O  0.5581  0.9346  0.7491 (multiplicity 1)  1 B 1.40
O  0.6215  0.2904  0.9991 (multiplicity 1)  1 B 1.40
O  0.6957  0.3595  0.6786 (multiplicity 1)  1 B 1.40
O  0.6978  0.0727  0.9272 (multiplicity 1)  1 B 1.40
O  0.7134  0.6149  0.6943 (multiplicity 1)  1 B 1.38
O  0.7762  0.6750  0.9427 (multiplicity 1)  1 B 1.38
O  0.8262  0.9137  0.1932 (multiplicity 1)  1 B 1.39
O  0.8904  0.4904  0.2492 (multiplicity 1)  1 B 1.40
O  0.8914  0.1990  0.5001 (multiplicity 1)  1 B 1.40
O  0.8925  0.9696  0.4434 (multiplicity 1)  1 B 1.38
O  0.9583  0.2721  0.1777 (multiplicity 1)  1 B 1.40

---

No. 2
Below is Li4Mn3FeB4O12 after structural relaxation, with properties calculated at the PBE with a Hubbard U level.

Cell: 5.2461 5.2486 20.9737 Å, 90.63 90.99 119.80°
Closest atoms and distances in Å follow each position.
Space group P1 (No. 1)
Unique sites:
Li  0.0000  0.0000  0.0000 (multiplicity 1)  4 O 1.92-2.05
Li  0.0002  0.0006  0.5010 (multiplicity 1)  4 O 1.92-2.05
Li  0.6580  0.6937  0.6258 (multiplicity 1)  4 O 1.95-2.10
Li  0.6589  0.6973  0.1255 (multiplicity 1)  4 O 1.95-2.07
Li  0.6691  0.6867  0.3756 (multiplicity 1)  4 O 1.95-2.07
Li  0.6732  0.6901  0.8752 (multiplicity 1)  4 O 1.96-2.06
Li  0.9721  0.0275  0.2507 (multiplicity 1)  4 O 1.91-2.04
Li  0.9736  0.0248  0.7511 (multiplicity 1)  4 O 1.95-2.03
Mn  0.3242  0.6715  0.4839 (multiplicity 1)  5 O 2.09-2.29
Mn  0.3238  0.6745  0.9830 (multiplicity 1)  5 O 2.08-2.33
Mn  0.3246  0.0198  0.3586 (multiplicity 1)  5 O 2.08-2.30
Mn  0.6443  0.3521  0.2334 (multiplicity 1)  5 O 2.09-2.28
Mn  0.9885  0.3523  0.6099 (multiplicity 1)  5 O 2.08-2.32
Mn  0.9914  0.3524  0.1083 (multiplicity 1)  5 O 2.08-2.32
Fe  0.3321  0.0194  0.8565 (multiplicity 1)  3 O 2.01-2.07
Fe  0.6368  0.3468  0.7349 (multiplicity 1)  4 O 2.02-2.24
B  0.3163  0.6838  0.7306 (multiplicity 1)  3 O 1.39-1.40
B  0.3186  0.6910  0.2295 (multiplicity 1)  3 O 1.39-1.40
B  0.3243  0.0149  0.6055 (multiplicity 1)  3 O 1.38-1.41
B  0.3259  0.0149  0.1044 (multiplicity 1)  3 O 1.38-1.41
B  0.6607  0.3456  0.9783 (multiplicity 1)  3 O 1.39-1.40
B  0.6631  0.3466  0.4797 (multiplicity 1)  3 O 1.39-1.40
B  0.9871  0.3537  0.3546 (multiplicity 1)  3 O 1.38-1.40
B  0.9906  0.3583  0.8536 (multiplicity 1)  3 O 1.38-1.41
O  0.0511  0.9923  0.5979 (multiplicity 1)  1 B 1.38
O  0.0526  0.9920  0.0969 (multiplicity 1)  1 B 1.38
O  0.0596  0.4183  0.7168 (multiplicity 1)  1 B 1.40
O  0.0674  0.4202  0.2146 (multiplicity 1)  1 B 1.40
O  0.2506  0.5961  0.3758 (multiplicity 1)  1 B 1.39
O  0.2526  0.6098  0.8729 (multiplicity 1)  1 B 1.40
O  0.2888  0.9284  0.2502 (multiplicity 1)  1 B 1.40
O  0.2988  0.9312  0.7488 (multiplicity 1)  1 B 1.40
O  0.3560  0.7703  0.5904 (multiplicity 1)  1 B 1.41
O  0.3578  0.7711  0.0891 (multiplicity 1)  1 B 1.41
O  0.3903  0.0951  0.9632 (multiplicity 1)  1 B 1.40
O  0.3921  0.0953  0.4647 (multiplicity 1)  1 B 1.40
O  0.5668  0.2776  0.6266 (multiplicity 1)  1 B 1.39
O  0.5687  0.2782  0.1256 (multiplicity 1)  1 B 1.40
O  0.5892  0.7026  0.7242 (multiplicity 1)  1 B 1.39
O  0.5935  0.7196  0.2220 (multiplicity 1)  1 B 1.39
O  0.6884  0.6210  0.9712 (multiplicity 1)  1 B 1.39
O  0.6915  0.6218  0.4722 (multiplicity 1)  1 B 1.39
O  0.7390  0.3811  0.8399 (multiplicity 1)  1 B 1.41
O  0.7429  0.3860  0.3395 (multiplicity 1)  1 B 1.40
O  0.9000  0.3177  0.9992 (multiplicity 1)  1 B 1.40
O  0.9007  0.3168  0.5005 (multiplicity 1)  1 B 1.40
O  0.9638  0.0805  0.3470 (multiplicity 1)  1 B 1.38
O  0.9787  0.0907  0.8469 (multiplicity 1)  1 B 1.38

---

No. 3
Below is Li4Mn3FeB4O12 after structural relaxation, with properties calculated at the PBE with a Hubbard U level.

Cell: 5.2769 6.0641 8.9778 Å, 102.55 90.80 113.57°
Closest atoms and distances in Å follow each position.
Space group P1 (No. 1)
Unique sites:
Li  0.0000  0.0000  0.0000 (multiplicity 1)  4 O 1.96-2.05
Li  0.1933  0.6540  0.9321 (multiplicity 1)  4 O 1.95-2.05
Li  0.5004  0.9994  0.5007 (multiplicity 1)  4 O 1.95-2.05
Li  0.6971  0.6592  0.4343 (multiplicity 1)  4 O 1.95-2.05
Mn  0.1431  0.5621  0.2609 (multiplicity 1)  4 O 2.09-2.21
Mn  0.5508  0.0938  0.1739 (multiplicity 1)  4 O 2.08-2.21
Mn  0.6398  0.5581  0.7582 (multiplicity 1)  4 O 2.08-2.20
Fe  0.0479  0.0929  0.6767 (multiplicity 1)  4 O 2.01-2.19
B  0.0391  0.0664  0.3360 (multiplicity 1)  3 O 1.38-1.41
B  0.1547  0.5882  0.5999 (multiplicity 1)  3 O 1.39-1.40
B  0.5358  0.0667  0.8317 (multiplicity 1)  3 O 1.38-1.40
B  0.6557  0.5906  0.0991 (multiplicity 1)  3 O 1.39-1.40
O  0.2176  0.4980  0.7204 (multiplicity 1)  1 B 1.40
O  0.2657  0.0032  0.3321 (multiplicity 1)  1 B 1.39
O  0.3264  0.6246  0.4838 (multiplicity 1)  1 B 1.39
O  0.3702  0.0294  0.9498 (multiplicity 1)  1 B 1.38
O  0.4283  0.6524  0.1018 (multiplicity 1)  1 B 1.39
O  0.4640  0.1506  0.7107 (multiplicity 1)  1 B 1.40
O  0.7196  0.5018  0.2201 (multiplicity 1)  1 B 1.40
O  0.7695  0.0126  0.8286 (multiplicity 1)  1 B 1.40
O  0.8247  0.6258  0.9819 (multiplicity 1)  1 B 1.39
O  0.8736  0.0344  0.4543 (multiplicity 1)  1 B 1.38
O  0.9288  0.6518  0.6023 (multiplicity 1)  1 B 1.39
O  0.9731  0.1526  0.2140 (multiplicity 1)  1 B 1.41

---

What are the ΔE_f values for these records? In order: -2.485 -2.462 -2.462 eV per atom.
What are the total magnetization values for these records? In order: 39.00 38.00 19.00 μB per cell.